NaMgSb | PBE | relaxed

a = 4.659 Å, b = 4.659 Å, c = 7.719 Å
α = 90.00°, β = 90.00°, γ = 90.00°
Positions (direct):
Na 0.250 0.250 0.142
Na 0.750 0.750 0.858
Mg 0.250 0.750 0.500
Mg 0.750 0.250 0.500
Sb 0.250 0.250 0.728
Sb 0.750 0.750 0.272

Output
total energy after the MP2020 corrections: -2.924 eV per atom
E_tot: -2.860 eV per atom
formation enthalpy at 0 K: -573 meV per atom